(1)
{
  "formula": "SrNiN",
  "functional": "PBE",
  "state": "relaxed",
  "lattice": [[9.131, 0.000, 0.000], [0.000, 13.286, 0.000], [0.000, 0.000, 5.223]],
  "species": ["Sr", "Sr", "Sr", "Sr", "Sr", "Sr", "Sr", "Sr", "Sr", "Sr", "Sr", "Sr", "Ni", "Ni", "Ni", "Ni", "Ni", "Ni", "Ni", "Ni", "Ni", "Ni", "Ni", "Ni", "N", "N", "N", "N", "N", "N", "N", "N", "N", "N", "N", "N"],
  "frac_coords": [[0.009, 0.250, 0.007], [0.167, 0.587, 0.522], [0.167, 0.913, 0.522], [0.333, 0.087, 0.022], [0.333, 0.413, 0.022], [0.491, 0.750, 0.507], [0.509, 0.250, 0.493], [0.667, 0.587, 0.978], [0.667, 0.913, 0.978], [0.833, 0.087, 0.478], [0.833, 0.413, 0.478], [0.991, 0.750, 0.993], [0.000, 0.000, 0.000], [0.000, 0.500, 0.000], [0.161, 0.161, 0.537], [0.161, 0.339, 0.537], [0.339, 0.661, 0.037], [0.339, 0.839, 0.037], [0.500, 0.000, 0.500], [0.500, 0.500, 0.500], [0.661, 0.161, 0.963], [0.661, 0.339, 0.963], [0.839, 0.661, 0.463], [0.839, 0.839, 0.463], [0.080, 0.077, 0.765], [0.080, 0.423, 0.765], [0.243, 0.250, 0.308], [0.257, 0.750, 0.808], [0.420, 0.577, 0.265], [0.420, 0.923, 0.265], [0.580, 0.077, 0.735], [0.580, 0.423, 0.735], [0.743, 0.250, 0.192], [0.757, 0.750, 0.692], [0.920, 0.577, 0.235], [0.920, 0.923, 0.235]],
  "energy_mp2020_ev_per_fu": -17.83,
  "formation_enthalpy_0k_ev_per_atom": -0.6746,
  "crystal_system": "orthorhombic",
  "dft_energy_ev_per_cell": -209.627
}

***

(2)
{
  "formula": "Na5CuCO5",
  "functional": "PBE",
  "state": "relaxed",
  "lattice": [[4.530, 0.000, 0.000], [0.000, 8.408, 0.000], [0.000, 0.000, 4.891]],
  "species": ["Na", "Na", "Na", "Na", "Na", "Cu", "C", "O", "O", "O", "O", "O"],
  "frac_coords": [[0.000, 0.000, 0.000], [0.000, 0.267, 0.515], [0.000, 0.733, 0.515], [0.500, 0.258, 0.007], [0.500, 0.742, 0.007], [0.000, 0.500, 0.014], [0.500, 0.000, 0.438], [0.000, 0.284, 0.016], [0.000, 0.716, 0.016], [0.500, 0.000, 0.171], [0.500, 0.136, 0.567], [0.500, 0.864, 0.567]],
  "energy_mp2020_ev_per_fu": -65.06,
  "formation_enthalpy_0k_ev_per_atom": -1.6981,
  "crystal_system": "orthorhombic",
  "total_magnetization_mub_per_atom": 0.000,
  "dft_energy_ev_per_cell": -61.622
}

***

(3)
{
  "formula": "Na10Y2Ta6Si11SO48",
  "functional": "PBE",
  "state": "relaxed",
  "lattice": [[9.107, 0.000, 0.000], [0.002, 15.774, 0.000], [0.008, 0.061, 22.845]],
  "species": ["Na", "Na", "Na", "Na", "Na", "Na", "Na", "Na", "Na", "Na", "Na", "Na", "Na", "Na", "Na", "Na", "Na", "Na", "Na", "Na", "Na", "Na", "Na", "Na", "Na", "Na", "Na", "Na", "Na", "Na", "Y", "Y", "Y", "Y", "Y", "Y", "Ta", "Ta", "Ta", "Ta", "Ta", "Ta", "Ta", "Ta", "Ta", "Ta", "Ta", "Ta", "Ta", "Ta", "Ta", "Ta", "Ta", "Ta", "Si", "Si", "Si", "Si", "Si", "Si", "Si", "Si", "Si", "Si", "Si", "Si", "Si", "Si", "Si", "Si", "Si", "Si", "Si", "Si", "Si", "Si", "Si", "Si", "Si", "Si", "Si", "Si", "Si", "Si", "Si", "Si", "Si", "S", "S", "S", "O", "O", "O", "O", "O", "O", "O", "O", "O", "O", "O", "O", "O", "O", "O", "O", "O", "O", "O", "O", "O", "O", "O", "O", "O", "O", "O", "O", "O", "O", "O", "O", "O", "O", "O", "O", "O", "O", "O", "O", "O", "O", "O", "O", "O", "O", "O", "O", "O", "O", "O", "O", "O", "O", "O", "O", "O", "O", "O", "O", "O", "O", "O", "O", "O", "O", "O", "O", "O", "O", "O", "O", "O", "O", "O", "O", "O", "O", "O", "O", "O", "O", "O", "O", "O", "O", "O", "O", "O", "O", "O", "O", "O", "O", "O", "O", "O", "O", "O", "O", "O", "O", "O", "O", "O", "O", "O", "O", "O", "O", "O", "O", "O", "O", "O", "O", "O", "O", "O", "O", "O", "O", "O", "O", "O", "O", "O", "O", "O", "O", "O", "O", "O", "O", "O", "O", "O", "O", "O", "O", "O", "O", "O", "O"],
  "frac_coords": [[0.000, 0.000, 0.000], [0.000, 0.032, 0.333], [0.010, 0.691, 0.667], [0.052, 0.343, 0.337], [0.167, 0.518, 0.423], [0.168, 0.843, 0.084], [0.172, 0.174, 0.756], [0.174, 0.177, 0.249], [0.176, 0.507, 0.920], [0.185, 0.848, 0.584], [0.349, 0.362, 0.504], [0.349, 0.692, 0.165], [0.362, 0.333, 0.165], [0.371, 0.661, 0.836], [0.480, 0.496, 0.000], [0.486, 0.164, 0.337], [0.494, 0.837, 0.667], [0.503, 0.862, 0.998], [0.511, 0.193, 0.667], [0.552, 0.842, 0.339], [0.657, 0.017, 0.426], [0.670, 0.023, 0.915], [0.679, 0.667, 0.755], [0.683, 0.671, 0.255], [0.684, 0.349, 0.584], [0.696, 0.341, 0.085], [0.806, 0.845, 0.835], [0.849, 0.860, 0.503], [0.985, 0.661, 0.337], [0.994, 0.338, 0.667], [0.169, 0.516, 0.570], [0.177, 0.509, 0.068], [0.183, 0.181, 0.397], [0.670, 0.016, 0.570], [0.675, 0.675, 0.395], [0.682, 0.680, 0.896], [0.173, 0.850, 0.227], [0.176, 0.851, 0.733], [0.177, 0.180, 0.105], [0.177, 0.510, 0.772], [0.180, 0.179, 0.896], [0.181, 0.512, 0.270], [0.181, 0.845, 0.938], [0.182, 0.186, 0.606], [0.186, 0.839, 0.437], [0.674, 0.338, 0.935], [0.678, 0.012, 0.270], [0.678, 0.017, 0.772], [0.679, 0.018, 0.064], [0.679, 0.345, 0.735], [0.679, 0.687, 0.108], [0.681, 0.685, 0.606], [0.683, 0.346, 0.229], [0.684, 0.341, 0.437], [0.026, 0.328, 0.499], [0.029, 0.659, 0.169], [0.031, 0.363, 0.169], [0.033, 0.992, 0.836], [0.041, 0.700, 0.833], [0.317, 0.701, 0.329], [0.325, 0.038, 0.000], [0.325, 0.322, 0.999], [0.326, 0.986, 0.332], [0.328, 0.661, 0.671], [0.333, 0.368, 0.667], [0.380, 0.014, 0.670], [0.383, 0.680, 0.000], [0.395, 0.352, 0.333], [0.467, 0.852, 0.834], [0.477, 0.513, 0.167], [0.480, 0.182, 0.499], [0.528, 0.827, 0.498], [0.529, 0.488, 0.835], [0.530, 0.198, 0.833], [0.531, 0.158, 0.168], [0.532, 0.872, 0.166], [0.816, 0.199, 0.332], [0.826, 0.487, 0.332], [0.828, 0.828, 0.001], [0.829, 0.869, 0.668], [0.830, 0.161, 0.670], [0.879, 0.512, 0.670], [0.894, 0.183, 0.001], [0.894, 0.850, 0.334], [0.967, 0.015, 0.167], [0.967, 0.346, 0.836], [0.976, 0.681, 0.498], [0.038, 0.031, 0.502], [0.538, 0.530, 0.503], [0.817, 0.531, 0.003], [0.000, 0.162, 0.945], [0.000, 0.194, 0.058], [0.002, 0.845, 0.680], [0.006, 0.843, 0.279], [0.008, 0.490, 0.327], [0.008, 0.841, 0.997], [0.010, 0.171, 0.661], [0.042, 0.418, 0.111], [0.062, 0.598, 0.227], [0.063, 0.777, 0.496], [0.063, 0.931, 0.894], [0.064, 0.076, 0.446], [0.067, 0.432, 0.826], [0.069, 0.265, 0.558], [0.070, 0.930, 0.174], [0.071, 0.099, 0.159], [0.071, 0.262, 0.845], [0.083, 0.759, 0.777], [0.084, 0.286, 0.439], [0.091, 0.605, 0.503], [0.098, 0.755, 0.180], [0.100, 0.078, 0.552], [0.101, 0.942, 0.780], [0.107, 0.085, 0.842], [0.111, 0.417, 0.504], [0.112, 0.413, 0.225], [0.114, 0.751, 0.891], [0.114, 0.945, 0.499], [0.120, 0.271, 0.164], [0.122, 0.627, 0.114], [0.125, 0.608, 0.829], [0.230, 0.610, 0.326], [0.236, 0.631, 0.616], [0.241, 0.748, 0.389], [0.244, 0.417, 0.720], [0.245, 0.083, 0.057], [0.248, 0.272, 0.661], [0.248, 0.943, 0.993], [0.251, 0.079, 0.333], [0.258, 0.267, 0.945], [0.259, 0.938, 0.276], [0.261, 0.417, 0.998], [0.267, 0.759, 0.682], [0.272, 0.933, 0.681], [0.276, 0.761, 0.273], [0.281, 0.598, 0.005], [0.286, 0.102, 0.660], [0.289, 0.094, 0.943], [0.289, 0.268, 0.332], [0.290, 0.265, 0.060], [0.290, 0.437, 0.326], [0.292, 0.773, 0.997], [0.292, 0.925, 0.390], [0.293, 0.598, 0.728], [0.319, 0.415, 0.605], [0.345, 0.833, 0.495], [0.348, 0.494, 0.827], [0.353, 0.190, 0.841], [0.354, 0.168, 0.160], [0.355, 0.854, 0.172], [0.356, 0.530, 0.221], [0.357, 0.843, 0.778], [0.358, 0.192, 0.556], [0.362, 0.862, 0.893], [0.380, 0.516, 0.508], [0.390, 0.172, 0.438], [0.392, 0.487, 0.108], [0.471, 0.982, 0.614], [0.478, 0.669, 0.941], [0.492, 0.697, 0.330], [0.498, 0.032, 0.724], [0.498, 0.361, 0.393], [0.499, 0.693, 0.058], [0.501, 0.338, 0.276], [0.503, 0.022, 0.009], [0.505, 0.344, 0.679], [0.507, 0.993, 0.327], [0.508, 0.672, 0.661], [0.509, 0.330, 0.993], [0.562, 0.277, 0.497], [0.563, 0.578, 0.449], [0.567, 0.098, 0.226], [0.567, 0.254, 0.775], [0.567, 0.767, 0.832], [0.568, 0.431, 0.894], [0.569, 0.929, 0.109], [0.570, 0.765, 0.558], [0.572, 0.602, 0.160], [0.574, 0.936, 0.828], [0.579, 0.430, 0.180], [0.588, 0.785, 0.439], [0.593, 0.105, 0.503], [0.593, 0.583, 0.833], [0.598, 0.254, 0.174], [0.598, 0.433, 0.781], [0.600, 0.576, 0.555], [0.606, 0.247, 0.890], [0.606, 0.776, 0.159], [0.606, 0.915, 0.225], [0.607, 0.109, 0.112], [0.611, 0.916, 0.504], [0.612, 0.106, 0.827], [0.614, 0.445, 0.500], [0.732, 0.106, 0.327], [0.737, 0.130, 0.614], [0.737, 0.447, 0.000], [0.742, 0.245, 0.391], [0.745, 0.915, 0.723], [0.747, 0.772, 0.661], [0.749, 0.798, 0.942], [0.753, 0.577, 0.055], [0.757, 0.923, 0.014], [0.760, 0.435, 0.277], [0.765, 0.582, 0.331], [0.767, 0.257, 0.681], [0.772, 0.431, 0.684], [0.775, 0.259, 0.278], [0.785, 0.601, 0.660], [0.787, 0.763, 0.056], [0.788, 0.266, 0.992], [0.789, 0.426, 0.390], [0.790, 0.579, 0.949], [0.790, 0.768, 0.332], [0.791, 0.096, 0.010], [0.792, 0.097, 0.726], [0.793, 0.938, 0.327], [0.817, 0.916, 0.606], [0.844, 0.334, 0.496], [0.850, 0.668, 0.160], [0.852, 0.995, 0.827], [0.854, 0.359, 0.892], [0.856, 0.346, 0.180], [0.858, 0.692, 0.556], [0.860, 0.003, 0.110], [0.860, 0.026, 0.225], [0.865, 0.332, 0.778], [0.866, 0.698, 0.833], [0.881, 0.016, 0.507], [0.884, 0.674, 0.438], [0.970, 0.481, 0.614], [0.975, 0.518, 0.007], [0.991, 0.186, 0.333], [0.997, 0.532, 0.725], [0.997, 0.866, 0.393]],
  "energy_mp2020_ev_per_fu": -637.35,
  "formation_enthalpy_0k_ev_per_atom": -3.0607,
  "crystal_system": "triclinic",
  "total_magnetization_mub_per_atom": 0.000,
  "dft_energy_ev_per_cell": -1813.135
}

***

(4)
{
  "formula": "SbW5Br15",
  "functional": "PBE",
  "state": "relaxed",
  "lattice": [[9.913, 0.000, 0.000], [0.276, 15.339, 0.000], [3.220, 0.515, 19.319]],
  "species": ["Sb", "Sb", "Sb", "Sb", "W", "W", "W", "W", "W", "W", "W", "W", "W", "W", "W", "W", "W", "W", "W", "W", "W", "W", "W", "W", "Br", "Br", "Br", "Br", "Br", "Br", "Br", "Br", "Br", "Br", "Br", "Br", "Br", "Br", "Br", "Br", "Br", "Br", "Br", "Br", "Br", "Br", "Br", "Br", "Br", "Br", "Br", "Br", "Br", "Br", "Br", "Br", "Br", "Br", "Br", "Br", "Br", "Br", "Br", "Br", "Br", "Br", "Br", "Br", "Br", "Br", "Br", "Br", "Br", "Br", "Br", "Br", "Br", "Br", "Br", "Br", "Br", "Br", "Br", "Br"],
  "frac_coords": [[0.149, 0.367, 0.483], [0.183, 0.930, 0.498], [0.817, 0.070, 0.502], [0.851, 0.633, 0.517], [0.008, 0.329, 0.136], [0.010, 0.158, 0.136], [0.098, 0.761, 0.750], [0.256, 0.842, 0.824], [0.257, 0.673, 0.824], [0.300, 0.263, 0.750], [0.399, 0.746, 0.156], [0.430, 0.740, 0.288], [0.448, 0.139, 0.798], [0.449, 0.377, 0.799], [0.551, 0.623, 0.201], [0.552, 0.861, 0.202], [0.570, 0.260, 0.712], [0.601, 0.254, 0.844], [0.700, 0.737, 0.250], [0.743, 0.327, 0.176], [0.744, 0.158, 0.176], [0.902, 0.239, 0.250], [0.990, 0.842, 0.864], [0.992, 0.671, 0.864], [0.064, 0.768, 0.622], [0.098, 0.272, 0.685], [0.101, 0.934, 0.751], [0.106, 0.247, 0.027], [0.106, 0.589, 0.750], [0.107, 0.068, 0.571], [0.150, 0.915, 0.936], [0.153, 0.591, 0.937], [0.170, 0.240, 0.210], [0.181, 0.509, 0.544], [0.188, 0.145, 0.836], [0.188, 0.749, 0.097], [0.189, 0.374, 0.840], [0.190, 0.446, 0.112], [0.199, 0.044, 0.112], [0.215, 0.425, 0.359], [0.266, 0.741, 0.406], [0.276, 0.021, 0.389], [0.284, 0.620, 0.241], [0.285, 0.867, 0.240], [0.369, 0.759, 0.711], [0.379, 0.296, 0.493], [0.398, 0.911, 0.554], [0.413, 0.754, 0.894], [0.419, 0.141, 0.667], [0.422, 0.389, 0.668], [0.458, 0.962, 0.797], [0.462, 0.553, 0.800], [0.474, 0.137, 0.926], [0.475, 0.368, 0.928], [0.525, 0.632, 0.072], [0.526, 0.863, 0.074], [0.538, 0.447, 0.200], [0.542, 0.038, 0.203], [0.578, 0.611, 0.332], [0.581, 0.859, 0.333], [0.587, 0.246, 0.106], [0.602, 0.089, 0.446], [0.621, 0.704, 0.507], [0.631, 0.241, 0.289], [0.715, 0.133, 0.760], [0.716, 0.380, 0.759], [0.724, 0.979, 0.611], [0.734, 0.259, 0.594], [0.785, 0.575, 0.641], [0.801, 0.956, 0.888], [0.810, 0.554, 0.888], [0.811, 0.626, 0.160], [0.812, 0.251, 0.903], [0.812, 0.855, 0.164], [0.819, 0.491, 0.456], [0.830, 0.760, 0.790], [0.847, 0.409, 0.063], [0.850, 0.085, 0.064], [0.893, 0.932, 0.429], [0.894, 0.411, 0.250], [0.894, 0.753, 0.973], [0.899, 0.066, 0.249], [0.902, 0.728, 0.315], [0.936, 0.232, 0.378]],
  "energy_mp2020_ev_per_fu": -112.21,
  "formation_enthalpy_0k_ev_per_atom": -0.8922,
  "crystal_system": "triclinic",
  "total_magnetization_mub_per_atom": 0.001,
  "dft_energy_ev_per_cell": -416.800
}

***

Q: Number 3 is which compound?
A: Na10Y2Ta6Si11SO48